Entry 1:
K2LiLaCl6: relaxed, PBE-GGA.

a b c (Å): 7.535 7.535 7.535
angles (deg): 60.00 60.00 60.00
Positions (direct):
K1 0.250 0.250 0.250
K2 0.750 0.750 0.750
Li1 0.000 0.000 0.000
La1 0.500 0.500 0.500
Cl1 0.241 0.241 0.759
Cl2 0.241 0.759 0.241
Cl3 0.241 0.759 0.759
Cl4 0.759 0.241 0.241
Cl5 0.759 0.241 0.759
Cl6 0.759 0.759 0.241

* calculated total energy: -4.0833 eV per atom
* symmetry: Fm-3m (225)
* energy of formation: -2.436 eV per atom


Entry 2:
La3Ti2N3O4: relaxed, PBE-GGA.

a b c (Å): 10.749 10.749 10.749
angles (deg): 159.06 158.54 30.16
Positions (direct):
La1 0.000 0.000 0.000
La2 0.182 0.182 0.000
La3 0.818 0.818 0.000
Ti1 0.407 0.407 0.000
Ti2 0.593 0.593 0.000
N1 0.101 0.601 0.500
N2 0.500 0.500 0.000
N3 0.899 0.399 0.500
O1 0.295 0.295 0.000
O2 0.398 0.898 0.500
O3 0.602 0.102 0.500
O4 0.705 0.705 0.000

* calculated total energy: -8.7706 eV per atom
* symmetry: Immm (71)
* energy of formation: -2.716 eV per atom
* ΔE to the lowest computed polymorph: 0.05 eV per formula unit


Entry 3:
Cs2KCeCl6: relaxed, PBE-GGA.

a b c (Å): 8.177 8.177 8.177
angles (deg): 60.00 60.00 60.00
Positions (direct):
Cs1 0.250 0.250 0.250
Cs2 0.750 0.750 0.750
K1 0.000 0.000 0.000
Ce1 0.500 0.500 0.500
Cl1 0.262 0.262 0.738
Cl2 0.262 0.738 0.262
Cl3 0.262 0.738 0.738
Cl4 0.738 0.262 0.262
Cl5 0.738 0.262 0.738
Cl6 0.738 0.738 0.262

* calculated total energy: -4.1062 eV per atom
* symmetry: Fm-3m (225)
* energy of formation: -2.482 eV per atom


Entry 4:
NdEuTiNbO6: relaxed, PBE-GGA.

a b c (Å): 5.669 5.669 5.669
angles (deg): 60.00 60.00 60.00
Positions (direct):
Nd1 0.000 0.000 0.000
Eu1 0.500 0.500 0.500
Ti1 0.250 0.250 0.250
Nb1 0.750 0.750 0.750
O1 0.004 0.004 0.496
O2 0.004 0.496 0.004
O3 0.004 0.496 0.496
O4 0.496 0.004 0.004
O5 0.496 0.004 0.496
O6 0.496 0.496 0.004

* calculated total energy: -9.1300 eV per atom
* symmetry: F-43m (216)
* energy of formation: -3.271 eV per atom


Entry 5:
ZnSi2SnO6: relaxed, PBE-GGA.

a b c (Å): 7.349 7.349 5.530
angles (deg): 104.98 104.98 85.52
Positions (direct):
Zn1 0.246 0.754 0.750
Zn2 0.754 0.246 0.250
Si1 0.118 0.297 0.713
Si2 0.297 0.118 0.213
Si3 0.703 0.882 0.787
Si4 0.882 0.703 0.287
Sn1 0.368 0.632 0.250
Sn2 0.632 0.368 0.750
O1 0.113 0.709 0.388
O2 0.183 0.190 0.953
O3 0.190 0.183 0.453
O4 0.195 0.511 0.824
O5 0.291 0.887 0.112
O6 0.489 0.805 0.676
O7 0.511 0.195 0.324
O8 0.709 0.113 0.888
O9 0.805 0.489 0.176
O10 0.810 0.817 0.547
O11 0.817 0.810 0.047
O12 0.887 0.291 0.612

* calculated total energy: -6.7316 eV per atom
* symmetry: C2/c (15)
* energy of formation: -2.563 eV per atom
* ΔE to the lowest computed polymorph: 0.00 eV per formula unit


Entry 6:
InOsO3: relaxed, PBE-GGA.

a b c (Å): 3.973 3.973 3.973
angles (deg): 90.00 90.00 90.00
Positions (direct):
In1 0.000 0.000 0.000
Os1 0.500 0.500 0.500
O1 0.000 0.500 0.500
O2 0.500 0.000 0.500
O3 0.500 0.500 0.000

* calculated total energy: -6.4883 eV per atom
* symmetry: Pm-3m (221)
* energy of formation: -1.136 eV per atom


> Look up the calculated total energy of the fifth one.

-6.7316 eV per atom